Record 1
The following is a DFT calculation (PBE-GGA) of crystalline MgCu10P6O26 at its relaxed geometry.

Results
**Space-group type**: P-1, No. 2
**DFT total energy**: -6.11 eV per atom
**Density**: 3.96 Mg/m³
**Calculated formation energy**: -1.79 eV/atom
**Relative energy among the computed polymorphs**: 0.0536 eV per atom

abc: 6.322 8.241 10.167
angles: 90.82 91.94 90.55
Sites, in units of the cell vectors:
Mg (0.000, 0.000, 0.000)
Cu (0.019, 0.852, 0.250)
Cu (0.244, 0.569, 0.144)
Cu (0.252, 0.777, 0.549)
Cu (0.335, 0.827, 0.943)
Cu (0.487, 0.144, 0.774)
Cu (0.513, 0.856, 0.226)
Cu (0.665, 0.173, 0.057)
Cu (0.748, 0.223, 0.451)
Cu (0.756, 0.431, 0.856)
Cu (0.981, 0.148, 0.750)
P (0.244, 0.139, 0.502)
P (0.252, 0.497, 0.783)
P (0.273, 0.165, 0.136)
P (0.727, 0.835, 0.864)
P (0.748, 0.503, 0.217)
P (0.756, 0.861, 0.498)
O (0.047, 0.385, 0.787)
O (0.053, 0.241, 0.459)
O (0.062, 0.088, 0.184)
O (0.237, 0.106, 0.657)
O (0.237, 0.965, 0.436)
O (0.243, 0.606, 0.910)
O (0.244, 0.802, 0.127)
O (0.269, 0.587, 0.657)
O (0.274, 0.345, 0.146)
O (0.279, 0.102, 0.986)
O (0.445, 0.235, 0.475)
O (0.447, 0.378, 0.802)
O (0.480, 0.094, 0.202)
O (0.520, 0.906, 0.798)
O (0.553, 0.622, 0.198)
O (0.555, 0.765, 0.525)
O (0.721, 0.898, 0.014)
O (0.726, 0.655, 0.854)
O (0.731, 0.413, 0.343)
O (0.756, 0.198, 0.873)
O (0.757, 0.394, 0.090)
O (0.763, 0.035, 0.564)
O (0.763, 0.894, 0.343)
O (0.938, 0.912, 0.816)
O (0.947, 0.759, 0.541)
O (0.953, 0.615, 0.213)

Record 2
The following is a DFT calculation (PBE-GGA) of crystalline Mg6Si5 at its relaxed geometry.

Results
**Space-group type**: P1, No. 1
**DFT total energy**: -3.24 eV per atom
**Density**: 2.17 Mg/m³
**Calculated formation energy**: 0.13 eV/atom
**Relative energy among the computed polymorphs**: 0.0941 eV per atom

abc: 4.066 7.172 15.248
angles: 81.75 85.09 87.26
Sites, in units of the cell vectors:
Mg (0.000, 0.000, 0.000)
Mg (0.002, 0.503, 0.963)
Mg (0.060, 0.543, 0.762)
Mg (0.099, 0.086, 0.752)
Mg (0.314, 0.205, 0.469)
Mg (0.391, 0.766, 0.403)
Mg (0.408, 0.424, 0.254)
Mg (0.444, 0.946, 0.181)
Mg (0.543, 0.257, 0.868)
Mg (0.547, 0.810, 0.866)
Mg (0.559, 0.810, 0.664)
Mg (0.894, 0.091, 0.320)
Si (0.119, 0.639, 0.577)
Si (0.461, 0.694, 0.048)
Si (0.483, 0.274, 0.048)
Si (0.686, 0.473, 0.534)
Si (0.775, 0.155, 0.603)
Si (0.847, 0.444, 0.382)
Si (0.862, 0.929, 0.497)
Si (0.919, 0.726, 0.279)
Si (0.934, 0.617, 0.138)
Si (0.953, 0.262, 0.145)

Record 3
The following is a DFT calculation (PBE-GGA) of crystalline LiBiP2O7 at its relaxed geometry.

Results
**Space-group type**: C2, No. 5
**DFT total energy**: -6.71 eV per atom
**Density**: 4.42 Mg/m³
**Largest piezoelectric modulus**: 2.36 C/m²
**Calculated formation energy**: -2.49 eV/atom
**Relative energy among the computed polymorphs**: 0.0461 eV per atom

abc: 5.725 5.725 4.750
angles: 97.45 97.45 105.73
Sites, in units of the cell vectors:
Li (0.000, 0.000, 0.000)
Bi (0.626, 0.374, 0.000)
P (0.096, 0.492, 0.587)
P (0.508, 0.904, 0.413)
O (0.236, 0.353, 0.763)
O (0.281, 0.719, 0.500)
O (0.388, 0.064, 0.240)
O (0.647, 0.764, 0.237)
O (0.675, 0.043, 0.701)
O (0.936, 0.612, 0.760)
O (0.957, 0.325, 0.299)